! PBE-GGA NaAlGeP2SO12, optimized geometry; values from VASP
&SYSTEM
  ibrav = 0, nat = 108, ntyp = 6
/
ATOMIC_SPECIES
Na 22.99 Na.upf
Al 26.98 Al.upf
Ge 72.64 Ge.upf
P 30.97 P.upf
S 32.06 S.upf
O 16.00 O.upf
CELL_PARAMETERS angstrom
8.309 0.000 0.000
-4.155 7.235 0.043
0.000 0.124 21.777
ATOMIC_POSITIONS angstrom
Na 4.106 7.265 10.954
Na -4.106 7.203 0.065
Na 4.106 2.482 18.184
Na 4.203 2.420 7.296
Na -0.048 4.811 3.680
Na 0.048 4.873 14.569
Al 8.218 0.120 14.070
Al 0.092 0.058 3.181
Al 4.063 2.573 21.343
Al 4.247 2.511 10.454
Al -0.092 4.902 6.839
Al 0.092 4.964 17.728
Ge 8.297 0.048 7.670
Ge 0.012 0.110 18.559
Ge 4.142 2.502 14.944
Ge 4.167 2.440 4.055
Ge -0.012 4.831 0.440
Ge 0.012 4.893 11.328
P 2.392 0.033 5.426
P -1.172 2.117 5.424
P 1.172 2.179 16.313
P 5.917 0.095 16.314
P 6.547 2.486 12.699
P 2.983 4.570 12.697
P 5.327 4.508 1.809
P 1.763 2.424 1.810
P 2.392 4.939 19.972
P -1.172 7.023 19.971
P 1.172 6.961 9.082
P -2.392 4.877 9.084
S 2.941 5.190 5.452
S -2.941 5.252 16.341
S 2.941 0.408 12.683
S 5.368 0.346 1.794
S -1.213 2.861 19.956
S 1.213 2.799 9.068
O 1.565 0.338 6.717
O 3.593 5.719 6.696
O 7.262 1.244 6.722
O 1.048 1.306 17.610
O 4.716 5.781 17.584
O 6.745 0.400 17.606
O 2.613 7.064 15.135
O 0.582 1.520 15.084
O -3.152 6.067 15.151
O 3.152 6.005 4.263
O -0.582 1.458 4.195
O -2.613 7.002 4.246
O 5.719 2.791 13.990
O 3.593 0.937 13.926
O 3.107 3.697 13.995
O 5.203 3.635 3.106
O 4.716 0.875 3.038
O 2.590 2.729 3.102
O 2.613 2.158 0.588
O 4.737 3.849 0.580
O 5.157 1.161 0.605
O 3.152 1.223 11.493
O 3.573 3.911 11.468
O 5.697 2.220 11.477
O 1.565 5.244 21.264
O -0.561 3.390 21.199
O -1.048 6.150 21.268
O 1.048 6.088 10.380
O 0.561 3.328 10.311
O -1.565 5.182 10.375
O -1.542 4.611 7.861
O 0.582 6.302 7.853
O 1.003 3.614 7.878
O -1.003 3.676 18.767
O -0.582 6.364 18.742
O 1.542 4.673 18.750
O -3.277 6.157 8.941
O 2.727 7.108 8.956
O 0.579 1.449 8.957
O -0.579 1.511 19.845
O -2.727 7.170 19.845
O 3.277 6.219 19.830
O 7.448 1.269 12.867
O 1.499 0.260 12.866
O 3.625 5.939 12.916
O 4.684 5.877 2.028
O 6.810 0.198 1.977
O 0.862 1.207 1.978
O 5.032 1.375 16.172
O 2.727 2.325 16.187
O 4.734 3.902 16.230
O 3.576 3.840 5.341
O 5.582 2.263 5.298
O 3.277 1.313 5.283
O 3.293 3.722 20.140
O 5.654 2.713 20.139
O 3.625 1.157 20.147
O 4.684 1.095 9.258
O 2.655 2.651 9.251
O 5.017 3.660 9.252
O 0.878 3.704 1.668
O -1.428 4.655 1.683
O 0.579 6.231 1.726
O -0.579 6.293 12.615
O 1.428 4.717 12.572
O -0.878 3.766 12.557
O -0.862 6.051 5.636
O 1.499 5.042 5.635
O -0.530 3.486 5.643
O 0.530 3.548 16.532
O -1.499 5.104 16.524
O 0.862 6.113 16.525
! Electronic total energy ... -6.71 eV per atom
! Total magnetic moment ... 0.0 μB/f.u.